GGA-PBE CaErAl4, optimized geometry; calculated formation energy = -0.394 eV per atom
1.0
0.000 3.953 3.953
3.953 0.000 3.953
3.953 3.953 0.000
Al Ca Er
4 1 1
direct
0.625 0.125 0.625
0.625 0.625 0.625
0.625 0.625 0.125
0.125 0.625 0.625
0.250 0.250 0.250
0.000 0.000 0.000

---

GGA-PBE DyReB4, optimized geometry; calculated formation energy = -0.590 eV per atom
1.0
-1.213 -3.160 1.288
5.249 -2.540 -1.290
3.927 2.776 10.513
Dy Re B
4 4 16
direct
0.000 0.626 0.350
0.000 0.374 0.650
0.000 0.126 0.150
0.000 0.874 0.850
0.000 0.867 0.587
0.000 0.633 0.087
0.000 0.133 0.413
0.000 0.367 0.913
0.500 0.213 0.815
0.500 0.614 0.953
0.500 0.787 0.185
0.500 0.136 0.969
0.500 0.886 0.453
0.500 0.386 0.047
0.500 0.114 0.547
0.500 0.287 0.315
0.500 0.977 0.308
0.500 0.477 0.192
0.500 0.636 0.531
0.500 0.523 0.808
0.500 0.023 0.692
0.500 0.864 0.031
0.500 0.713 0.685
0.500 0.364 0.469

---

GGA-PBE LiCeMg6, optimized geometry; ΔE to the lowest computed polymorph = 0.0000 eV per atom; calculated formation energy = 0.085 eV per atom
1.0
-3.484 1.841 -5.382
3.076 -5.916 0.197
-4.251 -2.143 2.019
Ce Mg Li
1 6 1
direct
0.332 0.168 0.750
0.320 0.662 0.750
0.669 0.831 0.250
0.676 0.334 0.250
0.838 0.180 0.750
0.840 0.660 0.750
0.166 0.824 0.250
0.160 0.340 0.250

---

GGA-PBE Rb2UC2SO11, optimized geometry; calculated formation energy = -2.115 eV per atom
1.0
-3.796 1.659 5.626
-4.865 -8.782 -0.693
11.772 -7.318 10.099
O U C Rb S
44 4 8 8 4
direct
0.775 0.850 0.133
0.751 0.779 0.857
0.251 0.221 0.143
0.750 0.638 0.629
0.465 0.010 0.382
0.751 0.279 0.643
0.763 0.931 0.001
0.939 0.961 0.747
0.927 0.562 0.400
0.327 0.682 0.987
0.927 0.062 0.100
0.750 0.138 0.871
0.939 0.461 0.753
0.427 0.438 0.600
0.465 0.510 0.118
0.558 0.471 0.888
0.275 0.150 0.867
0.965 0.990 0.618
0.275 0.650 0.633
0.569 0.473 0.756
0.439 0.539 0.247
0.251 0.721 0.357
0.069 0.527 0.244
0.827 0.318 0.013
0.250 0.362 0.371
0.058 0.529 0.112
0.586 0.048 0.102
0.427 0.938 0.900
0.086 0.952 0.898
0.263 0.569 0.501
0.069 0.027 0.256
0.439 0.039 0.253
0.569 0.973 0.744
0.827 0.818 0.487
0.263 0.069 0.999
0.327 0.182 0.513
0.250 0.862 0.129
0.086 0.452 0.602
0.763 0.431 0.499
0.586 0.548 0.398
0.965 0.490 0.882
0.058 0.029 0.388
0.558 0.971 0.612
0.775 0.350 0.367
0.253 0.541 0.364
0.753 0.459 0.636
0.753 0.959 0.864
0.253 0.041 0.136
0.645 0.970 0.676
0.869 0.972 0.678
0.145 0.030 0.324
0.645 0.470 0.824
0.869 0.472 0.822
0.145 0.530 0.176
0.369 0.028 0.322
0.369 0.528 0.178
0.755 0.802 0.298
0.254 0.871 0.516
0.754 0.629 0.016
0.254 0.371 0.984
0.255 0.198 0.702
0.255 0.698 0.798
0.755 0.302 0.202
0.754 0.129 0.484
0.762 0.969 0.085
0.262 0.031 0.915
0.762 0.469 0.415
0.262 0.531 0.585

---

GGA-PBE YSI, optimized geometry; calculated formation energy = -1.757 eV per atom
1.0
2.272 -3.935 0.000
2.272 3.935 0.000
0.000 0.000 5.143
Y S I
1 1 1
direct
0.333 0.667 0.000
0.667 0.333 0.000
0.000 0.000 0.500

---

GGA-PBE Na2Ga2As3, optimized geometry; calculated formation energy = -0.410 eV per atom
1.0
6.803 0.000 0.000
0.000 13.333 0.000
0.000 0.078 14.590
As Na Ga
24 16 16
direct
0.970 0.480 0.655
0.530 0.480 0.155
0.051 0.840 0.415
0.057 0.340 0.102
0.706 0.250 0.321
0.030 0.520 0.345
0.965 0.970 0.831
0.557 0.660 0.398
0.035 0.030 0.169
0.535 0.970 0.331
0.551 0.160 0.085
0.949 0.160 0.585
0.337 0.252 0.327
0.449 0.840 0.915
0.470 0.520 0.845
0.794 0.250 0.821
0.663 0.748 0.673
0.294 0.750 0.679
0.465 0.030 0.669
0.443 0.340 0.602
0.206 0.750 0.179
0.943 0.660 0.898
0.163 0.252 0.827
0.837 0.748 0.173
0.909 0.434 0.911
0.091 0.566 0.089
0.047 0.859 0.011
0.919 0.653 0.522
0.409 0.566 0.589
0.955 0.915 0.610
0.545 0.915 0.110
0.045 0.085 0.390
0.591 0.434 0.411
0.081 0.347 0.478
0.455 0.085 0.890
0.453 0.859 0.511
0.581 0.653 0.022
0.953 0.141 0.989
0.419 0.347 0.978
0.547 0.141 0.489
0.738 0.587 0.259
0.760 0.813 0.831
0.218 0.682 0.340
0.238 0.413 0.241
0.288 0.910 0.772
0.718 0.318 0.160
0.762 0.587 0.759
0.282 0.682 0.840
0.782 0.318 0.660
0.260 0.187 0.669
0.240 0.187 0.169
0.212 0.910 0.272
0.262 0.413 0.741
0.740 0.813 0.331
0.712 0.090 0.228
0.788 0.090 0.728